Record 1
Density functional theory data (PBE) for an optimized crystal structure of Rb3GaCl6.

Structure (POSCAR):
```
Rb3GaCl6
1.0
0.000 5.491 5.491
5.491 0.000 5.491
5.491 5.491 0.000
Rb Ga Cl
3 1 6
Cartesian
0.000 0.000 0.000
2.745 2.745 2.745
8.236 8.236 8.236
5.491 5.491 5.491
5.491 5.491 3.095
5.491 3.095 5.491
7.886 5.491 5.491
3.095 5.491 5.491
5.491 7.886 5.491
5.491 5.491 7.886
```

Calculated formation energy: -1957 meV/atom
DFT total energy: -0.1211 Ha/atom
Space group: Fm-3m (225)
Mass density: 2.702 Mg/m³
V: 33.11 A^3/atom



Record 2
Density functional theory data (PBE) for an optimized crystal structure of Ba2In.

Structure (POSCAR):
```
Ba2In
1.0
8.221 0.000 0.000
0.000 6.005 0.000
0.000 0.000 11.114
Ba In
8 4
Cartesian
0.190 1.501 2.155
1.421 1.501 6.377
2.690 4.504 0.820
3.921 4.504 7.712
4.300 1.501 3.402
5.531 1.501 10.294
6.800 4.504 4.737
8.031 4.504 8.960
1.900 1.501 9.952
2.211 4.504 4.395
6.010 1.501 6.719
6.321 4.504 1.162
```

Calculated formation energy: -301 meV/atom
DFT total energy: -0.0918 Ha/atom
Space group: Pnma (62)
Mass density: 4.715 Mg/m³
V: 45.72 A^3/atom



Q: Which value of DFT total energy does entry 1 give?
A: -0.1211 Ha/atom



Q: Which formula does entry 2 have?
A: Ba2In



Q: Look up the V of the first one.
A: 33.11 A^3/atom